Ti3InN | the Materials Project database | PBE-GGA | optimized geometry; calculated density = 6.10 g/cm³; ΔH_f (0 K) = -89.93 kJ per mole of atoms; calculated total energy = -7.81 eV per atom
1.0
4.202 0.000 0.000
0.000 4.202 0.000
0.000 0.000 4.202
Ti In N
3 1 1
direct
0.000 0.000 0.500
0.000 0.500 0.000
0.500 0.000 0.000
0.500 0.500 0.500
0.000 0.000 0.000